[1]
Density functional theory data (PBE-GGA) for an optimized crystal structure of Na2TiSi2SnSO12.

Lattice parameters (Å, degrees): 8.8910 8.8990 22.4283 89.86 89.87 60.09
Last column: nearest neighbours and their distance in Å.
Positions (direct):
1 Na 0.0000 0.0000 0.0000  4 O 2.35-2.62
2 Na 0.0000 0.3188 0.0789  7 O 2.41-2.70
3 Na 0.0014 0.0096 0.4972  5 O 2.41-2.67
4 Na 0.3269 0.3518 0.1636  5 O 2.35-2.63
5 Na 0.3315 0.6496 0.7459  5 O 2.40-2.47
6 Na 0.3390 0.0272 0.2458  5 O 2.37-2.56
7 Na 0.3398 0.3313 0.6679  4 O 2.35-2.62
8 Na 0.6588 0.6861 0.8345  5 O 2.32-2.59
9 Na 0.6620 0.6758 0.3304  5 O 2.36-2.63
10 Na 0.6680 0.9855 0.4095  5 O 2.36-2.48
11 Na 0.6725 0.3607 0.9125  5 O 2.35-2.52
12 Na 0.9985 0.7020 0.5767  5 O 2.34-2.52
13 Ti 0.2888 0.3781 0.8146  4 O 1.84-1.99
14 Ti 0.2988 0.3593 0.0212  5 O 1.87-2.07
15 Ti 0.6306 0.6935 0.1868  5 O 1.87-2.06
16 Ti 0.9531 0.0463 0.1465  4 O 1.83-1.99
17 Ti 0.9641 0.0260 0.8553  5 O 1.86-2.04
18 Ti 0.9680 0.0246 0.3524  5 O 1.87-2.05
19 Si 0.0079 0.6521 0.4170  4 O 1.62-1.66
20 Si 0.0144 0.3577 0.9188  4 O 1.64-1.66
21 Si 0.2917 0.6530 0.9171  4 O 1.62-1.65
22 Si 0.2938 0.0675 0.4144  4 O 1.63-1.65
23 Si 0.3418 0.6911 0.5864  4 O 1.62-1.65
24 Si 0.3417 0.9819 0.0849  4 O 1.63-1.66
25 Si 0.6261 0.4049 0.0833  4 O 1.62-1.65
26 Si 0.6298 0.9891 0.5834  4 O 1.63-1.65
27 Si 0.6750 0.3136 0.7534  4 O 1.63-1.66
28 Si 0.6800 0.0249 0.2511  4 O 1.64-1.66
29 Si 0.9562 0.3212 0.2488  4 O 1.62-1.65
30 Si 0.9623 0.7360 0.7519  4 O 1.62-1.65
31 Sn 0.2923 0.3557 0.3107  5 O 1.96-2.17
32 Sn 0.3005 0.3595 0.5191  6 O 2.00-2.19
33 Sn 0.6247 0.7059 0.4800  4 O 1.97-2.05
34 Sn 0.6286 0.6868 0.9801  6 O 1.97-2.20
35 Sn 0.6321 0.6927 0.6897  6 O 1.99-2.22
36 Sn 0.9619 0.0188 0.6486  6 O 1.98-2.20
37 S 0.2508 0.0341 0.7525  4 O 1.46-1.50
38 S 0.2541 0.7365 0.2490  4 O 1.45-1.50
39 S 0.5862 0.0706 0.9169  4 O 1.46-1.50
40 S 0.5977 0.3594 0.4144  4 O 1.47-1.50
41 S 0.9224 0.6964 0.0841  4 O 1.46-1.50
42 S 0.9240 0.3968 0.5834  4 O 1.47-1.49
43 O 0.0200 0.7949 0.6903  1 Si 1.64
44 O 0.0931 0.5315 0.0799  1 S 1.50
45 O 0.0955 0.3878 0.5804  1 S 1.49
46 O 0.1039 0.5347 0.3590  1 Si 1.62
47 O 0.1165 0.5786 0.4796  1 Si 1.64
48 O 0.1194 0.8431 0.9117  1 Si 1.62
49 O 0.1227 0.0472 0.4062  1 Si 1.63
50 O 0.1243 0.3707 0.8624  1 Si 1.64
51 O 0.1255 0.3341 0.9801  1 Si 1.64
52 O 0.1339 0.5421 0.7612  1 Si 1.65
53 O 0.1377 0.3293 0.2494  1 Si 1.65
54 O 0.1472 0.0043 0.0918  1 Si 1.65
55 O 0.1527 0.8731 0.5882  1 Si 1.65
56 O 0.1544 0.8170 0.1953  1 S 1.45
57 O 0.1550 0.0580 0.6956  1 S 1.49
58 O 0.1596 0.0132 0.8039  1 S 1.47
59 O 0.1713 0.8385 0.3039  1 S 1.49
60 O 0.2647 0.1878 0.4727  1 Si 1.63
61 O 0.2813 0.1801 0.7583  1 S 1.46
62 O 0.2811 0.5582 0.2533  1 S 1.48
63 O 0.2818 0.5395 0.9736  1 Si 1.65
64 O 0.3011 0.5292 0.5820  1 Si 1.65
65 O 0.3126 0.1804 0.0783  1 Si 1.66
66 O 0.3258 0.5333 0.8568  1 Si 1.65, 1 Ti 1.84
67 O 0.3500 0.1383 0.3551  1 Si 1.65
68 O 0.4209 0.8668 0.7510  1 S 1.50
69 O 0.4280 0.7259 0.2468  1 S 1.50
70 O 0.4290 0.8660 0.0252  1 Si 1.63
71 O 0.4390 0.7028 0.5269  1 Si 1.62
72 O 0.4486 0.6593 0.6491  1 Si 1.64
73 O 0.4533 0.3882 0.0767  1 Si 1.62
74 O 0.4550 0.1782 0.5788  1 Si 1.63
75 O 0.4615 0.8896 0.1445  1 Si 1.65
76 O 0.4676 0.8737 0.4179  1 Si 1.65
77 O 0.4736 0.6599 0.9186  1 Si 1.65
78 O 0.4823 0.3319 0.7594  1 Si 1.64
79 O 0.4876 0.1503 0.8627  1 S 1.46
80 O 0.4876 0.2046 0.2514  1 Si 1.66
81 O 0.4901 0.3886 0.3612  1 S 1.47
82 O 0.5027 0.1737 0.9713  1 S 1.48
83 O 0.5203 0.3273 0.4689  1 S 1.50
84 O 0.6092 0.5353 0.1379  1 Si 1.64
85 O 0.6097 0.8913 0.6418  1 Si 1.63
86 O 0.6127 0.8923 0.9211  1 S 1.49
87 O 0.6246 0.5084 0.4209  1 S 1.47
88 O 0.6419 0.5149 0.7516  1 Si 1.66
89 O 0.6487 0.8582 0.2428  1 Si 1.65
90 O 0.6791 0.8698 0.5228  1 Si 1.65
91 O 0.6906 0.4629 0.0228  1 Si 1.65
92 O 0.7606 0.0593 0.9146  1 S 1.50
93 O 0.7649 0.2058 0.6928  1 Si 1.63
94 O 0.7691 0.1989 0.4094  1 S 1.48
95 O 0.7839 0.5112 0.2434  1 Si 1.62
96 O 0.7862 0.7239 0.7496  1 Si 1.62
97 O 0.7899 0.0006 0.3123  1 Si 1.64
98 O 0.7909 0.0373 0.1949  1 Si 1.64
99 O 0.7931 0.2199 0.8129  1 Si 1.65
100 O 0.7975 0.2106 0.0934  1 Si 1.65
101 O 0.8053 0.0065 0.5867  1 Si 1.64
102 O 0.8153 0.6660 0.4199  1 Si 1.66
103 O 0.8211 0.7261 0.0280  1 S 1.49
104 O 0.8225 0.4748 0.5289  1 S 1.47
105 O 0.8222 0.5371 0.9197  1 Si 1.66
106 O 0.8341 0.6705 0.1356  1 S 1.48
107 O 0.8430 0.5031 0.6375  1 S 1.49
108 O 0.9478 0.2076 0.3052  1 Si 1.64
109 O 0.9489 0.8657 0.8060  1 Si 1.64
110 O 0.9506 0.2206 0.5887  1 S 1.47
111 O 0.9520 0.8432 0.0910  1 S 1.46
112 O 0.9738 0.8510 0.4094  1 Si 1.65
113 O 0.9829 0.1912 0.9109  1 Si 1.65
114 O 0.9896 0.2010 0.1890  1 Si 1.65, 1 Ti 1.83

Summary:
- Uncorrected energy: -783.1 eV per cell
- Formation energy from the elements: -49.9 eV per formula unit
- Space group: P1

=====

[2]
Density functional theory data (PBE-GGA) for an optimized crystal structure of SrCrGe2.

Lattice parameters (Å, degrees): 10.6388 11.4164 8.5650 90.00 90.00 90.00
Last column: nearest neighbours and their distance in Å.
Positions (direct):
1 Sr 0.1720 0.0458 0.2386  8 Ge 3.24-3.43, 4 Cr 3.49-3.60
2 Sr 0.1720 0.0458 0.7614  8 Ge 3.24-3.43, 4 Cr 3.49-3.60
3 Sr 0.1745 0.3185 0.5000  7 Ge 3.01-3.35
4 Sr 0.3255 0.8185 0.5000  7 Ge 3.01-3.35
5 Sr 0.3280 0.5458 0.2386  8 Ge 3.24-3.43, 4 Cr 3.49-3.60
6 Sr 0.3280 0.5458 0.7614  8 Ge 3.24-3.43, 4 Cr 3.49-3.60
7 Sr 0.6720 0.4542 0.2386  8 Ge 3.24-3.43, 4 Cr 3.49-3.60
8 Sr 0.6720 0.4542 0.7614  8 Ge 3.24-3.43, 4 Cr 3.49-3.60
9 Sr 0.6745 0.1815 0.5000  7 Ge 3.01-3.35
10 Sr 0.8255 0.6815 0.5000  7 Ge 3.01-3.35
11 Sr 0.8280 0.9542 0.2386  8 Ge 3.24-3.43, 4 Cr 3.49-3.60
12 Sr 0.8280 0.9542 0.7614  8 Ge 3.24-3.43, 4 Cr 3.49-3.60
13 Cr 0.0000 0.5000 0.2547  6 Ge 2.65-2.72, 2 Cr 2.93
14 Cr 0.0000 0.5000 0.7453  6 Ge 2.65-2.72, 2 Cr 2.93
15 Cr 0.0805 0.7451 0.2618  5 Ge 2.52-2.76
16 Cr 0.0805 0.7451 0.7382  5 Ge 2.52-2.76
17 Cr 0.4195 0.2451 0.2618  5 Ge 2.52-2.76
18 Cr 0.4195 0.2451 0.7382  5 Ge 2.52-2.76
19 Cr 0.5000 0.0000 0.2547  6 Ge 2.65-2.72, 2 Cr 2.93
20 Cr 0.5000 0.0000 0.7453  6 Ge 2.65-2.72, 2 Cr 2.93
21 Cr 0.5805 0.7549 0.2618  5 Ge 2.52-2.76
22 Cr 0.5805 0.7549 0.7382  5 Ge 2.52-2.76
23 Cr 0.9195 0.2549 0.2618  5 Ge 2.52-2.76
24 Cr 0.9195 0.2549 0.7382  5 Ge 2.52-2.76
25 Ge 0.0343 0.8817 0.5000  2 Cr 2.61, 1 Ge 2.80
26 Ge 0.0389 0.8388 0.0000  2 Cr 2.52, 1 Ge 2.73
27 Ge 0.0874 0.6042 0.0000  4 Cr 2.65-2.76, 3 Ge 2.73-2.95
28 Ge 0.1140 0.6016 0.5000  4 Cr 2.64-2.69
29 Ge 0.1498 0.3233 0.1505  1 Ge 2.58, 2 Cr 2.72-2.74
30 Ge 0.1498 0.3233 0.8495  1 Ge 2.58, 2 Cr 2.72-2.74
31 Ge 0.3502 0.8233 0.1505  1 Ge 2.58, 2 Cr 2.72-2.74
32 Ge 0.3502 0.8233 0.8495  1 Ge 2.58, 2 Cr 2.72-2.74
33 Ge 0.3860 0.1016 0.5000  4 Cr 2.64-2.69
34 Ge 0.4126 0.1042 0.0000  4 Cr 2.65-2.76, 3 Ge 2.73-2.95
35 Ge 0.4611 0.3388 0.0000  2 Cr 2.52, 1 Ge 2.73
36 Ge 0.4657 0.3817 0.5000  2 Cr 2.61, 1 Ge 2.80
37 Ge 0.5343 0.6183 0.5000  2 Cr 2.61, 1 Ge 2.80
38 Ge 0.5389 0.6612 0.0000  2 Cr 2.52, 1 Ge 2.73
39 Ge 0.5874 0.8958 0.0000  4 Cr 2.65-2.76, 3 Ge 2.73-2.95
40 Ge 0.6140 0.8984 0.5000  4 Cr 2.64-2.69
41 Ge 0.6498 0.1767 0.1505  1 Ge 2.58, 2 Cr 2.72-2.74
42 Ge 0.6498 0.1767 0.8495  1 Ge 2.58, 2 Cr 2.72-2.74
43 Ge 0.8502 0.6767 0.1505  1 Ge 2.58, 2 Cr 2.72-2.74
44 Ge 0.8502 0.6767 0.8495  1 Ge 2.58, 2 Cr 2.72-2.74
45 Ge 0.8860 0.3984 0.5000  4 Cr 2.64-2.69
46 Ge 0.9126 0.3958 0.0000  4 Cr 2.65-2.76, 3 Ge 2.73-2.95
47 Ge 0.9611 0.1612 0.0000  2 Cr 2.52, 1 Ge 2.73
48 Ge 0.9657 0.1183 0.5000  2 Cr 2.61, 1 Ge 2.80

Summary:
- Uncorrected energy: -254.1 eV per cell
- Formation energy from the elements: -0.6 eV per formula unit
- Space group: Pbam

=====

[3]
Density functional theory data (PBE-GGA) for an optimized crystal structure of Ba2La2MgTi3O12.

Lattice parameters (Å, degrees): 9.6923 9.6923 9.6923 34.13 34.13 34.13
Last column: nearest neighbours and their distance in Å.
Positions (direct):
1 Ba 0.1245 0.1245 0.1245  12 O 2.84-2.90
2 Ba 0.8755 0.8755 0.8755  12 O 2.84-2.90
3 La 0.3738 0.3738 0.3738  12 O 2.69-2.85
4 La 0.6262 0.6262 0.6262  12 O 2.69-2.85
5 Mg 0.0000 0.0000 0.0000  6 O 2.05
6 Ti 0.2530 0.2530 0.2530  6 O 1.91-2.05
7 Ti 0.5000 0.5000 0.5000  6 O 1.99
8 Ti 0.7470 0.7470 0.7470  6 O 1.91-2.05
9 O 0.1333 0.6176 0.6176  2 Ti 1.99-2.05
10 O 0.1359 0.1359 0.6088  1 Ti 1.91, 1 Mg 2.05
11 O 0.1359 0.6088 0.1359  1 Ti 1.91, 1 Mg 2.05
12 O 0.3824 0.3824 0.8667  2 Ti 1.99-2.05
13 O 0.3824 0.8667 0.3824  2 Ti 1.99-2.05
14 O 0.3912 0.8641 0.8641  1 Ti 1.91, 1 Mg 2.05
15 O 0.6088 0.1359 0.1359  1 Ti 1.91, 1 Mg 2.05
16 O 0.6176 0.1333 0.6176  2 Ti 1.99-2.05
17 O 0.6176 0.6176 0.1333  2 Ti 1.99-2.05
18 O 0.8641 0.3912 0.8641  1 Ti 1.91, 1 Mg 2.05
19 O 0.8641 0.8641 0.3912  1 Ti 1.91, 1 Mg 2.05
20 O 0.8667 0.3824 0.3824  2 Ti 1.99-2.05

Summary:
- Uncorrected energy: -161.2 eV per cell
- Formation energy from the elements: -71.1 eV per formula unit
- Space group: R-3m

=====

[4]
Density functional theory data (PBE-GGA) for an optimized crystal structure of LiTiH6O2F6.

Lattice parameters (Å, degrees): 6.1359 6.1359 5.6152 90.00 90.00 120.00
Last column: nearest neighbours and their distance in Å.
Positions (direct):
1 Li 0.0000 0.0000 0.0000  6 F 2.12
2 Ti 0.0000 0.0000 0.5000  6 F 1.99
3 H 0.1859 0.4931 0.7761  1 O 1.03
4 H 0.3072 0.8141 0.7761  1 O 1.03
5 H 0.4931 0.1859 0.2239  1 O 1.03
6 H 0.5069 0.6928 0.7761  1 O 1.03
7 H 0.6928 0.5069 0.2239  1 O 1.03
8 H 0.8141 0.3072 0.2239  1 O 1.03
9 O 0.3333 0.6667 0.8230  3 H 1.03
10 O 0.6667 0.3333 0.1770  3 H 1.03
11 F 0.0119 0.2501 0.2659  1 H 1.44
12 F 0.2382 0.9881 0.2659  1 H 1.44
13 F 0.2501 0.0119 0.7341  1 H 1.44
14 F 0.7499 0.7618 0.2659  1 H 1.44
15 F 0.7618 0.7499 0.7341  1 H 1.44
16 F 0.9881 0.2382 0.7341  1 H 1.44

Summary:
- Uncorrected energy: -82.7 eV per cell
- Formation energy from the elements: -35.3 eV per formula unit
- Space group: P321

=====

[5]
Density functional theory data (PBE-GGA) for an optimized crystal structure of EuNbO3.

Lattice parameters (Å, degrees): 4.0825 4.0825 4.0825 90.00 90.00 90.00
Last column: nearest neighbours and their distance in Å.
Positions (direct):
1 Eu 0.0000 0.0000 0.0000  12 O 2.89
2 Nb 0.5000 0.5000 0.5000  6 O 2.04
3 O 0.0000 0.5000 0.5000  2 Nb 2.04
4 O 0.5000 0.0000 0.5000  2 Nb 2.04
5 O 0.5000 0.5000 0.0000  2 Nb 2.04

Summary:
- Uncorrected energy: -48.8 eV per cell
- Formation energy from the elements: -15.7 eV per formula unit
- Space group: Pm-3m

=====

Q: The lowest uncorrected energy belongs to which entry?
A: Na2TiSi2SnSO12